## MgAl8Fe3Si8H16O40 (PBE+U)

Data for an optimized crystal structure of MgAl8Fe3Si8H16O40.

Summary:
The electronic total energy is -0.4952 Ry per atom. Its space-group type is C2 (5).

a b c (Å): 12.347 12.347 5.178
angles (deg): 90.03 90.03 111.62
Fractional coordinates of all 76 atoms:
Mg: 0.000 0.000 0.000
Al: 0.066 0.317 0.999
Al: 0.085 0.915 0.500
Al: 0.162 0.838 0.000
Al: 0.181 0.433 0.500
Al: 0.567 0.819 0.500
Al: 0.585 0.415 0.000
Al: 0.663 0.337 0.500
Al: 0.683 0.934 0.001
Fe: 0.249 0.751 0.500
Fe: 0.499 0.501 0.500
Fe: 0.749 0.251 0.000
Si: 0.051 0.562 0.166
Si: 0.196 0.190 0.333
Si: 0.309 0.302 0.834
Si: 0.438 0.949 0.834
Si: 0.551 0.062 0.334
Si: 0.698 0.691 0.166
Si: 0.810 0.804 0.667
Si: 0.938 0.449 0.666
H: 0.009 0.164 0.693
H: 0.026 0.699 0.662
H: 0.222 0.053 0.835
H: 0.238 0.586 0.812
H: 0.301 0.974 0.338
H: 0.334 0.490 0.189
H: 0.414 0.762 0.188
H: 0.447 0.278 0.336
H: 0.510 0.666 0.811
H: 0.526 0.199 0.837
H: 0.722 0.553 0.664
H: 0.739 0.085 0.689
H: 0.801 0.474 0.163
H: 0.836 0.991 0.307
H: 0.915 0.261 0.311
H: 0.947 0.778 0.165
O: 0.021 0.843 0.177
O: 0.029 0.380 0.681
O: 0.035 0.166 0.871
O: 0.089 0.775 0.676
O: 0.102 0.057 0.341
O: 0.120 0.470 0.181
O: 0.129 0.282 0.319
O: 0.142 0.695 0.151
O: 0.157 0.979 0.823
O: 0.214 0.583 0.633
O: 0.218 0.371 0.818
O: 0.225 0.911 0.324
O: 0.282 0.209 0.077
O: 0.289 0.216 0.576
O: 0.305 0.858 0.849
O: 0.332 0.466 0.368
O: 0.417 0.786 0.367
O: 0.442 0.394 0.848
O: 0.458 0.033 0.576
O: 0.467 0.043 0.076
O: 0.523 0.341 0.323
O: 0.530 0.880 0.819
O: 0.534 0.668 0.632
O: 0.590 0.275 0.823
O: 0.606 0.558 0.152
O: 0.620 0.971 0.319
O: 0.629 0.782 0.182
O: 0.643 0.194 0.350
O: 0.659 0.477 0.677
O: 0.715 0.083 0.868
O: 0.718 0.871 0.681
O: 0.725 0.410 0.177
O: 0.784 0.711 0.424
O: 0.791 0.718 0.923
O: 0.806 0.357 0.650
O: 0.834 0.965 0.129
O: 0.917 0.285 0.132
O: 0.943 0.898 0.659
O: 0.957 0.533 0.924
O: 0.967 0.542 0.424